Record 1
! KTl2 | Materials Project | PBE | optimized geometry; values from VASP
&SYSTEM
  ibrav = 0, nat = 12, ntyp = 2
/
ATOMIC_SPECIES
K 39.10 K.upf
Tl 204.38 Tl.upf
CELL_PARAMETERS angstrom
-4.013 -7.020 -3.508
-7.631 -2.853 3.364
-7.478 1.017 -4.554
ATOMIC_POSITIONS crystal
K 0.625 0.625 0.625
K 0.625 0.625 0.125
K 0.625 0.125 0.625
K 0.125 0.625 0.625
Tl 0.907 0.907 0.907
Tl 0.907 0.907 0.280
Tl 0.907 0.280 0.907
Tl 0.343 0.343 0.970
Tl 0.343 0.343 0.343
Tl 0.280 0.907 0.907
Tl 0.343 0.970 0.343
Tl 0.970 0.343 0.343
! - Space-group type: Fd-3m
! - Calculated volume: 484 Å³ per cell
! - DFT formation energy: 0.069 eV per atom
! - Calculated density: 6.144 g cm⁻³
! - Crystal system: cubic
! - E: -1.88 eV/atom



Record 2
! MgBi4O8 | Materials Project | PBE | optimized geometry; values from VASP
&SYSTEM
  ibrav = 0, nat = 13, ntyp = 3
/
ATOMIC_SPECIES
Mg 24.30 Mg.upf
Bi 208.98 Bi.upf
O 16.00 O.upf
CELL_PARAMETERS angstrom
-4.648 0.980 -4.262
2.087 -0.538 -6.007
-1.935 -5.426 -2.745
ATOMIC_POSITIONS crystal
Mg 0.500 0.500 0.500
Bi 0.000 0.500 0.500
Bi 0.500 0.000 0.500
Bi 0.500 0.500 0.000
Bi 0.000 0.000 0.000
O 0.279 0.738 0.738
O 0.262 0.262 0.721
O 0.721 0.262 0.262
O 0.262 0.721 0.262
O 0.262 0.262 0.262
O 0.738 0.738 0.738
O 0.738 0.279 0.738
O 0.738 0.738 0.279
! - Space-group type: R-3m
! - Energy with MP2020 corrections: -5.8601 eV per atom
! - Calculated volume: 214 Å³ per cell
! - Distance to the lowest polymorph of the same formula: 241.1 meV per atom
! - DFT formation energy: -1.495 eV per atom
! - Calculated density: 7.657 g cm⁻³
! - Crystal system: trigonal
! - E: -5.44 eV/atom



Record 3
! Li8SnO6 | Materials Project | PBE | optimized geometry; values from VASP
&SYSTEM
  ibrav = 0, nat = 15, ntyp = 3
/
ATOMIC_SPECIES
Li 6.94 Li.upf
Sn 118.71 Sn.upf
O 16.00 O.upf
CELL_PARAMETERS angstrom
5.400 -2.766 0.000
5.400 2.766 0.000
3.983 0.000 4.576
ATOMIC_POSITIONS crystal
Li 0.235 0.505 0.900
Li 0.900 0.235 0.505
Li 0.505 0.900 0.235
Li 0.765 0.495 0.100
Li 0.100 0.765 0.495
Li 0.495 0.100 0.765
Li 0.655 0.655 0.655
Li 0.345 0.345 0.345
Sn 0.000 0.000 0.000
O 0.385 0.765 0.094
O 0.906 0.615 0.235
O 0.235 0.906 0.615
O 0.615 0.235 0.906
O 0.094 0.385 0.765
O 0.765 0.094 0.385
! - Space-group type: R-3
! - Energy with MP2020 corrections: -5.4076 eV per atom
! - Calculated volume: 137 Å³ per cell
! - DFT formation energy: -2.143 eV per atom
! - Calculated density: 3.283 g cm⁻³
! - Crystal system: trigonal
! - E: -5.13 eV/atom



Record 4
! DyInPt2 | Materials Project | PBE | optimized geometry; values from VASP
&SYSTEM
  ibrav = 0, nat = 8, ntyp = 3
/
ATOMIC_SPECIES
Dy 162.50 Dy.upf
In 114.82 In.upf
Pt 195.08 Pt.upf
CELL_PARAMETERS angstrom
-2.573 2.402 -2.942
2.585 -3.472 -1.519
-6.907 -5.736 1.356
ATOMIC_POSITIONS crystal
Dy 0.333 0.667 0.750
Dy 0.667 0.333 0.250
In 0.000 0.000 0.500
In 0.000 0.000 0.000
Pt 0.333 0.667 0.092
Pt 0.667 0.333 0.908
Pt 0.667 0.333 0.592
Pt 0.333 0.667 0.408
! - Space-group type: P6_3/mmc
! - Calculated volume: 166 Å³ per cell
! - DFT formation energy: -0.959 eV per atom
! - Calculated density: 13.394 g cm⁻³
! - Crystal system: hexagonal
! - E: -5.83 eV/atom